Record 1
Ba2LaSbO6: optimized geometry, PBE.

a b c (Å): 6.1727 6.1818 10.6985
angles (deg): 90.00 125.13 90.00
Positions (direct):
Ba1 0.2505 0.0052 0.2494
Ba2 0.2505 0.4948 0.7494
Ba3 0.7495 0.5052 0.2506
Ba4 0.7495 0.9948 0.7506
La1 0.0000 0.0000 0.5000
La2 0.0000 0.5000 0.0000
Sb1 0.5000 0.0000 0.0000
Sb2 0.5000 0.5000 0.5000
O1 0.2530 0.7161 0.4984
O2 0.2530 0.7839 0.9984
O3 0.2672 0.0079 0.7692
O4 0.2672 0.4921 0.2692
O5 0.2883 0.2448 0.0049
O6 0.2883 0.2552 0.5049
O7 0.7117 0.7448 0.4951
O8 0.7117 0.7552 0.9951
O9 0.7328 0.5079 0.7308
O10 0.7328 0.9921 0.2308
O11 0.7470 0.2161 0.0016
O12 0.7470 0.2839 0.5016

Record 2
Ba2LaSbO6: optimized geometry, PBE.

a b c (Å): 6.1769 6.1769 6.1769
angles (deg): 60.00 60.00 60.00
Positions (direct):
Ba1 0.2500 0.2500 0.2500
Ba2 0.7500 0.7500 0.7500
La1 0.0000 0.0000 0.0000
Sb1 0.5000 0.5000 0.5000
O1 0.2692 0.2692 0.7308
O2 0.2692 0.7308 0.2692
O3 0.2692 0.7308 0.7308
O4 0.7308 0.2692 0.2692
O5 0.7308 0.2692 0.7308
O6 0.7308 0.7308 0.2692

It is found that the energy of formation from the pure elements values, taken in the order of the records, are -3.02; -3.02 eV/atom.
It is found that the E (MP2020) values, taken in the order of the records, are -145.68; -72.83 eV for the cell shown.